# 1
Material: Li9Mn2Co5O16
Method: DFT, PBE+U
State: optimized geometry

Cell and atoms, written as POSCAR:
```
Li9Mn2Co5O16
1.0
-0.568 -3.375 7.003
2.299 -3.370 6.641
0.763 11.473 6.211
Li Mn Co O
9 2 5 16
Direct
0.437 0.437 0.196
0.312 0.312 0.559
0.192 0.192 0.939
0.064 0.064 0.328
0.940 0.940 0.667
0.810 0.810 0.071
0.686 0.686 0.435
0.558 0.558 0.806
0.499 0.499 0.499
0.000 0.000 0.000
0.747 0.747 0.749
0.881 0.881 0.389
0.628 0.628 0.128
0.375 0.375 0.873
0.253 0.253 0.251
0.116 0.116 0.610
0.416 0.416 0.026
0.290 0.290 0.398
0.166 0.166 0.779
0.033 0.033 0.142
0.902 0.902 0.523
0.782 0.782 0.893
0.660 0.660 0.276
0.535 0.535 0.657
0.461 0.461 0.346
0.332 0.332 0.723
0.217 0.217 0.096
0.099 0.099 0.476
0.969 0.969 0.858
0.839 0.839 0.221
0.713 0.713 0.610
0.584 0.584 0.974
```

Results
The calculation puts the total DFT energy (no corrections) at -5.68 eV per atom. The mass density comes out at 4.156 Mg/m³. The value obtained for the total magnetization is 0.861 μB per formula unit. As for the offset from the most stable computed form: 171 meV per atom.



# 2
Material: Sr16Mn8O29
Method: DFT, PBE+U
State: optimized geometry

Cell and atoms, written as POSCAR:
```
Sr16Mn8O29
1.0
-7.127 -0.640 -6.236
-6.539 -4.735 5.064
-5.621 7.416 2.929
Sr Mn O
16 8 29
Direct
0.697 0.631 0.010
0.297 0.766 0.891
0.062 0.149 0.218
0.529 0.060 0.240
0.036 0.519 0.173
0.410 0.502 0.247
0.723 0.219 0.426
0.243 0.198 0.474
0.743 0.834 0.531
0.341 0.827 0.517
0.586 0.539 0.737
0.043 0.538 0.795
0.502 0.058 0.707
0.958 0.947 0.730
0.779 0.249 0.969
0.361 0.306 0.970
0.239 0.864 0.161
0.521 0.924 0.004
0.087 0.645 0.442
0.736 0.564 0.391
0.329 0.436 0.608
0.923 0.336 0.622
0.158 0.134 0.856
0.876 0.887 0.105
0.563 0.787 0.810
0.950 0.727 0.981
0.803 0.062 0.205
0.259 0.979 0.312
0.434 0.755 0.102
0.170 0.684 0.237
0.678 0.853 0.117
0.775 0.472 0.234
0.254 0.331 0.218
0.284 0.604 0.472
0.584 0.670 0.482
0.896 0.655 0.364
0.981 0.229 0.468
0.455 0.332 0.468
0.512 0.996 0.477
0.005 0.748 0.597
0.086 0.434 0.566
0.307 0.263 0.738
0.748 0.421 0.543
0.831 0.450 0.778
0.313 0.552 0.765
0.064 0.944 0.068
0.580 0.105 0.949
0.983 0.185 0.765
0.316 0.016 0.994
0.756 0.043 0.621
0.227 0.980 0.729
0.079 0.285 0.978
0.557 0.434 0.005
```

Results
The calculation puts the total DFT energy (no corrections) at -6.50 eV per atom. The mass density comes out at 4.553 Mg/m³. The value obtained for the total magnetization is 30.001 μB per formula unit. As for the offset from the most stable computed form: 210 meV per atom.



# 3
Material: Sr12Co10O27
Method: DFT, PBE+U
State: optimized geometry

Cell and atoms, written as POSCAR:
```
Sr12Co10O27
1.0
9.567 0.000 0.000
-4.741 8.371 0.000
-4.676 -2.732 8.627
Sr Co O
12 10 27
Direct
0.269 0.814 0.370
0.091 0.403 0.129
0.535 0.954 0.862
0.457 0.546 0.643
0.267 0.311 0.865
0.091 0.900 0.628
0.909 0.099 0.376
0.712 0.673 0.132
0.549 0.456 0.360
0.465 0.051 0.143
0.913 0.586 0.869
0.729 0.185 0.624
0.913 0.450 0.338
0.691 0.345 0.042
0.503 0.253 0.751
0.326 0.168 0.475
0.127 0.072 0.184
0.886 0.950 0.819
0.685 0.841 0.528
0.500 0.751 0.250
0.312 0.654 0.957
0.085 0.551 0.660
0.641 0.900 0.705
0.960 0.555 0.195
0.805 0.240 0.191
0.745 0.280 0.890
0.627 0.385 0.186
0.610 0.464 0.891
0.590 0.368 0.618
0.417 0.138 0.883
0.394 0.040 0.608
0.258 0.223 0.615
0.214 0.273 0.323
0.081 0.652 0.502
0.028 0.933 0.278
0.939 0.052 0.670
0.918 0.350 0.495
0.813 0.747 0.713
0.745 0.776 0.385
0.597 0.960 0.383
0.581 0.862 0.116
0.430 0.646 0.398
0.394 0.536 0.114
0.384 0.617 0.823
0.254 0.717 0.108
0.193 0.756 0.807
0.087 0.120 0.001
0.044 0.441 0.803
0.376 0.115 0.314
```

Results
The calculation puts the total DFT energy (no corrections) at -6.08 eV per atom. The mass density comes out at 4.982 Mg/m³. The value obtained for the total magnetization is 16.000 μB per formula unit.



# 4
Material: FeP4O12
Method: DFT, PBE+U
State: optimized geometry

Cell and atoms, written as POSCAR:
```
FeP4O12
1.0
-5.744 -0.730 4.728
-4.526 -5.521 -2.216
1.108 -7.901 5.644
Fe P O
2 8 24
Direct
0.500 0.000 0.000
0.000 0.500 0.500
0.728 0.275 0.463
0.725 0.272 0.037
0.698 0.664 0.812
0.275 0.728 0.963
0.272 0.725 0.537
0.336 0.302 0.688
0.664 0.698 0.312
0.302 0.336 0.188
0.876 0.140 0.124
0.192 0.357 0.344
0.808 0.643 0.656
0.819 0.319 0.559
0.319 0.819 0.059
0.478 0.641 0.847
0.314 0.151 0.153
0.208 0.527 0.066
0.527 0.208 0.566
0.359 0.522 0.653
0.124 0.860 0.876
0.357 0.192 0.844
0.849 0.686 0.347
0.140 0.876 0.624
0.860 0.124 0.376
0.681 0.181 0.941
0.643 0.808 0.156
0.181 0.681 0.441
0.641 0.478 0.347
0.473 0.792 0.434
0.792 0.473 0.934
0.686 0.849 0.847
0.522 0.359 0.153
0.151 0.314 0.653
```

Results
The calculation puts the total DFT energy (no corrections) at -6.97 eV per atom. The mass density comes out at 2.680 Mg/m³. The value obtained for the total magnetization is 5.007 μB per formula unit. As for the offset from the most stable computed form: 23 meV per atom.



# 5
Material: Mn6HO12
Method: DFT, PBE+U
State: optimized geometry

Cell and atoms, written as POSCAR:
```
Mn6HO12
1.0
2.964 4.663 0.000
-2.964 4.663 0.000
0.000 0.569 13.901
Mn H O
12 2 24
Direct
0.747 0.499 0.502
0.253 0.999 0.501
0.482 0.233 0.155
0.989 0.739 0.159
0.518 0.257 0.845
0.008 0.769 0.845
0.499 0.747 0.002
0.999 0.253 0.001
0.739 0.989 0.659
0.233 0.482 0.655
0.769 0.008 0.345
0.257 0.518 0.345
0.712 0.473 0.258
0.473 0.712 0.758
0.669 0.414 0.933
0.164 0.918 0.934
0.330 0.082 0.070
0.834 0.584 0.070
0.414 0.669 0.433
0.918 0.164 0.434
0.584 0.834 0.570
0.082 0.330 0.570
0.165 0.415 0.905
0.661 0.911 0.904
0.335 0.580 0.098
0.835 0.090 0.097
0.415 0.165 0.405
0.911 0.661 0.404
0.580 0.335 0.598
0.090 0.835 0.597
0.363 0.611 0.769
0.856 0.107 0.772
0.143 0.397 0.232
0.648 0.892 0.232
0.611 0.363 0.269
0.107 0.856 0.272
0.397 0.143 0.732
0.892 0.648 0.732
```

Results
The calculation puts the total DFT energy (no corrections) at -7.01 eV per atom. The mass density comes out at 4.517 Mg/m³.



# 6
Material: NaFeO2
Method: DFT, PBE+U
State: optimized geometry

Cell and atoms, written as POSCAR:
```
NaFeO2
1.0
-4.459 0.037 -3.451
-3.265 -1.973 4.198
-1.514 6.824 2.030
Na Fe O
4 4 8
Direct
0.802 0.803 0.000
0.302 0.697 0.750
0.698 0.303 0.250
0.198 0.197 0.500
0.314 0.688 0.250
0.186 0.188 0.000
0.814 0.812 0.500
0.686 0.312 0.750
0.146 0.778 0.463
0.854 0.222 0.963
0.779 0.147 0.535
0.279 0.353 0.215
0.721 0.647 0.715
0.221 0.853 0.035
0.646 0.722 0.287
0.354 0.278 0.787
```

Results
The calculation puts the total DFT energy (no corrections) at -5.79 eV per atom. The mass density comes out at 3.162 Mg/m³. The value obtained for the total magnetization is 0.000 μB per formula unit.



# 7
Material: CsErMo2O8
Method: DFT, PBE+U
State: optimized geometry

Cell and atoms, written as POSCAR:
```
CsErMo2O8
1.0
5.063 0.000 0.000
0.000 8.252 0.000
0.000 0.349 9.717
Cs Er Mo O
2 2 4 16
Direct
0.468 0.750 0.500
0.532 0.250 0.500
0.500 0.750 0.000
0.500 0.250 0.000
0.975 0.492 0.191
0.025 0.508 0.809
0.975 0.008 0.809
0.025 0.992 0.191
0.888 0.982 0.356
0.112 0.018 0.644
0.888 0.518 0.644
0.112 0.482 0.356
0.759 0.319 0.178
0.241 0.681 0.822
0.759 0.181 0.822
0.241 0.819 0.178
0.746 0.998 0.066
0.254 0.002 0.934
0.746 0.502 0.934
0.254 0.498 0.066
0.758 0.666 0.180
0.242 0.334 0.820
0.758 0.834 0.820
0.242 0.166 0.180
```

Results
The calculation puts the total DFT energy (no corrections) at -7.12 eV per atom. The mass density comes out at 5.072 Mg/m³. The value obtained for the total magnetization is 0.000 μB per formula unit.



# 8
Material: CsCrFeF6
Method: DFT, PBE+U
State: optimized geometry

Cell and atoms, written as POSCAR:
```
CsCrFeF6
1.0
-3.738 3.753 5.394
3.738 -3.753 5.394
3.738 3.753 -5.394
Cs Cr Fe F
2 2 2 12
Direct
0.621 0.371 0.250
0.379 0.629 0.750
0.000 0.000 0.500
0.000 0.500 0.000
0.500 0.000 0.500
0.000 0.000 0.000
0.061 0.311 0.750
0.672 0.922 0.750
0.065 0.332 0.139
0.693 0.926 0.361
0.693 0.332 0.767
0.065 0.926 0.733
0.939 0.689 0.250
0.328 0.078 0.250
0.935 0.668 0.861
0.307 0.074 0.639
0.307 0.668 0.233
0.935 0.074 0.267
```

Results
The calculation puts the total DFT energy (no corrections) at -5.57 eV per atom. The mass density comes out at 3.892 Mg/m³. The value obtained for the total magnetization is 7.000 μB per formula unit.



# 9
Material: Na2MnCdFeP3O12
Method: DFT, PBE+U
State: optimized geometry

Cell and atoms, written as POSCAR:
```
Na2MnCdFeP3O12
1.0
6.081 6.519 0.000
-6.081 6.519 0.000
0.000 6.366 6.869
Na Mn Cd Fe P O
4 2 2 2 6 24
Direct
0.124 0.876 0.500
0.809 0.635 0.080
0.937 0.063 0.000
0.365 0.191 0.920
0.807 0.727 0.450
0.273 0.193 0.550
0.401 0.599 0.500
0.485 0.515 0.000
0.720 0.940 0.720
0.060 0.280 0.280
0.569 0.048 0.307
0.659 0.341 0.500
0.952 0.431 0.693
0.203 0.584 0.824
0.187 0.813 0.000
0.416 0.797 0.176
0.002 0.617 0.523
0.616 0.151 0.674
0.767 0.323 0.825
0.972 0.984 0.254
0.648 0.896 0.295
0.640 0.485 0.555
0.515 0.360 0.445
0.104 0.352 0.705
0.016 0.028 0.746
0.607 0.814 0.010
0.677 0.233 0.175
0.849 0.384 0.326
0.988 0.747 0.143
0.288 0.739 0.117
0.383 0.998 0.477
0.954 0.046 0.623
0.029 0.620 0.832
0.674 0.732 0.723
0.268 0.326 0.277
0.380 0.971 0.168
0.954 0.046 0.377
0.261 0.712 0.883
0.253 0.012 0.857
0.186 0.393 0.990
```

Results
The calculation puts the total DFT energy (no corrections) at -6.24 eV per atom. The mass density comes out at 3.379 Mg/m³. The value obtained for the total magnetization is 10.000 μB per formula unit. As for the offset from the most stable computed form: 750 meV per atom.



# 10
Material: LiCoBO3
Method: DFT, PBE+U
State: optimized geometry

Cell and atoms, written as POSCAR:
```
LiCoBO3
1.0
0.482 -3.044 0.210
-1.138 -0.727 -8.040
13.825 2.061 -2.143
Li Co B O
6 6 6 18
Direct
0.500 0.630 0.349
0.500 0.131 0.849
0.500 0.161 0.141
0.500 0.662 0.640
0.500 0.708 0.010
0.500 0.208 0.511
0.001 0.867 0.491
0.998 0.825 0.186
0.999 0.808 0.819
0.001 0.367 0.994
0.998 0.329 0.688
0.000 0.308 0.320
0.500 0.500 0.167
0.501 0.000 0.666
0.000 0.000 0.000
0.000 0.499 0.501
0.499 0.500 0.834
0.500 0.001 0.333
0.000 0.509 0.402
0.000 0.008 0.902
0.999 0.144 0.053
0.999 0.642 0.554
0.001 0.848 0.045
0.001 0.347 0.544
0.500 0.362 0.224
0.500 0.862 0.724
0.501 0.655 0.207
0.502 0.154 0.707
0.500 0.483 0.069
0.499 0.983 0.569
0.500 0.361 0.891
0.501 0.862 0.391
0.500 0.656 0.873
0.500 0.156 0.374
0.498 0.482 0.735
0.500 0.982 0.236
```

Results
The calculation puts the total DFT energy (no corrections) at -6.71 eV per atom. The mass density comes out at 3.488 Mg/m³. The value obtained for the total magnetization is 0.002 μB per formula unit. As for the offset from the most stable computed form: 21 meV per atom.



# 11
Material: MgFe8O8F8
Method: DFT, PBE+U
State: optimized geometry

Cell and atoms, written as POSCAR:
```
MgFe8O8F8
1.0
-7.478 6.007 1.546
-6.702 -6.848 -1.983
-0.044 -0.826 3.000
Mg Fe O F
1 8 8 8
Direct
0.990 0.766 0.500
0.041 0.024 0.000
0.993 0.500 0.000
0.222 0.264 0.500
0.254 0.747 0.500
0.500 0.469 0.000
0.512 0.004 0.000
0.765 0.276 0.500
0.692 0.688 0.500
0.092 0.416 0.500
0.113 0.924 0.500
0.158 0.169 0.000
0.108 0.673 0.000
0.588 0.386 0.500
0.603 0.633 0.000
0.847 0.358 0.000
0.871 0.611 0.500
0.343 0.343 0.000
0.371 0.842 0.000
0.411 0.108 0.500
0.380 0.567 0.500
0.623 0.886 0.500
0.674 0.150 0.000
0.887 0.868 0.000
0.914 0.113 0.500
```

Results
The calculation puts the total DFT energy (no corrections) at -6.00 eV per atom. The mass density comes out at 4.224 Mg/m³. The value obtained for the total magnetization is 0.004 μB per formula unit. As for the offset from the most stable computed form: 8 meV per atom.